WS2 after structural relaxation. Source: the Materials Project database, functional PBE.

Unit cell a=3.191 b=3.191 c=38.405 alpha=90.00 beta=90.00 gamma=120.00
Atoms (fractional coordinates):
W1 0.333 0.667 0.408
W2 0.333 0.667 0.777
W3 0.667 0.333 0.223
W4 0.667 0.333 0.592
S1 0.333 0.667 0.182
S2 0.333 0.667 0.551
S3 0.667 0.333 0.367
S4 0.667 0.333 0.736
S5 0.333 0.667 0.264
S6 0.333 0.667 0.633
S7 0.667 0.333 0.449
S8 0.667 0.333 0.818

Properties
* space-group type: P-3m1

=====

WS2 after structural relaxation. Source: the Materials Project database, functional PBE.

Unit cell a=3.191 b=3.191 c=14.202 alpha=90.00 beta=90.00 gamma=120.00
Atoms (fractional coordinates):
W1 0.333 0.667 0.750
W2 0.667 0.333 0.250
S1 0.333 0.667 0.361
S2 0.667 0.333 0.861
S3 0.333 0.667 0.139
S4 0.667 0.333 0.639

Properties
* space-group type: P6_3/mmc

=====

WS2 after structural relaxation. Source: the Materials Project database, functional PBE.

Unit cell a=3.191 b=3.191 c=17.101 alpha=90.00 beta=90.00 gamma=120.00
Atoms (fractional coordinates):
W1 0.333 0.667 0.500
S1 0.667 0.333 0.408
S2 0.667 0.333 0.592

Properties
* largest piezoelectric modulus: 0.2 C/m²
* space-group type: P-6m2

=====

WS2 after structural relaxation. Source: the Materials Project database, functional PBE.

Unit cell a=3.191 b=3.191 c=24.202 alpha=90.00 beta=90.00 gamma=120.00
Atoms (fractional coordinates):
W1 0.333 0.667 0.647
W2 0.667 0.333 0.353
S1 0.333 0.667 0.288
S2 0.667 0.333 0.582
S3 0.333 0.667 0.418
S4 0.667 0.333 0.712

Properties
* space-group type: P-3m1

=====

WS2 after structural relaxation. Source: the Materials Project database, functional PBE.

Unit cell a=7.355 b=7.355 c=7.355 alpha=25.06 beta=25.06 gamma=25.06
Atoms (fractional coordinates):
W1 0.001 0.001 0.001
S1 0.408 0.408 0.408
S2 0.260 0.260 0.260

Properties
* largest piezoelectric modulus: 0.5 C/m²
* space-group type: R3m

=====

WS2 after structural relaxation. Source: the Materials Project database, functional PBE.

Unit cell a=6.268 b=6.268 c=6.268 alpha=129.06 beta=129.06 gamma=74.91
Atoms (fractional coordinates):
W1 0.750 0.250 0.500
W2 0.000 0.000 0.000
S1 0.875 0.875 0.500
S2 0.125 0.625 0.000
S3 0.375 0.375 0.500
S4 0.625 0.125 0.000

Properties
* space-group type: I-42d

=====

Energy of formation in kJ per mole of atoms, matching the order above: -111 -111 -111 -111 -111 -39